Record 1
SbPO5, optimized geometry, DFT GGA-PBE; spin magnetization = 0.00 μB per cell; E_form = -2.212 eV/atom; electronic total energy = -6.619 eV per atom
1.0
0.000 8.347 3.579
5.954 0.000 3.579
5.954 8.347 0.000
Sb P O
4 4 20
Cartesian
7.416 6.279 3.579
4.493 10.416 3.579
7.470 10.452 5.368
10.393 14.589 5.368
8.938 8.938 2.687
5.960 3.583 4.476
2.971 7.757 2.687
5.948 13.111 4.476
10.184 7.998 2.811
3.142 1.484 1.439
6.120 2.689 3.228
6.073 5.684 2.133
7.654 8.043 2.575
7.206 4.522 4.600
2.812 6.863 1.439
8.813 9.858 3.922
5.836 11.010 2.133
4.677 4.478 4.364
4.255 8.652 2.575
5.918 7.083 4.473
3.096 6.837 3.922
5.991 9.611 4.473
7.232 12.216 4.364
1.725 8.696 2.811
8.968 11.257 6.263
5.789 14.005 3.228
8.895 13.785 6.263
4.703 12.172 4.600

---

Record 2
Nd4S3NCl3, optimized geometry, DFT GGA-PBE; spin magnetization = 0.00 μB per cell; E_form = -2.382 eV/atom; electronic total energy = -6.201 eV per atom
1.0
9.372 0.000 0.000
-4.686 8.116 0.000
0.000 0.000 6.885
Nd S N Cl
8 6 2 6
Cartesian
0.000 3.282 0.000
-1.844 6.475 0.000
0.000 5.411 3.680
2.842 1.641 3.443
1.844 6.475 0.000
4.686 2.705 0.237
6.530 1.641 3.443
4.686 4.835 3.443
-1.885 4.323 1.916
1.885 4.323 1.916
0.000 7.587 1.916
4.686 0.529 5.359
2.801 3.794 5.359
6.571 3.794 5.359
0.000 5.411 6.052
4.686 2.705 2.609
0.000 2.132 4.203
-2.840 7.050 4.203
1.846 1.066 0.760
2.840 7.050 4.203
7.526 1.066 0.760
4.686 5.984 0.760

---

Record 3
FeH, optimized geometry, DFT GGA-PBE; E_form = -0.068 eV/atom; electronic total energy = -5.910 eV per atom
1.0
0.000 1.880 1.880
1.880 0.000 1.880
1.880 1.880 0.000
Fe H
1 1
Cartesian
0.000 0.000 0.000
1.880 1.880 1.880

---

Record 4
Mn3Zn, optimized geometry, DFT GGA-PBE; spin magnetization = 3.56 μB per cell; E_form = 0.205 eV/atom; electronic total energy = -6.981 eV per atom
1.0
-1.754 1.754 3.822
1.754 -1.754 3.822
1.754 1.754 -3.822
Mn Zn
3 1
Cartesian
0.000 0.000 0.000
1.754 0.000 1.911
0.000 1.754 1.911
0.000 0.000 3.822

---

Record 5
Cs2U2O5, optimized geometry, DFT GGA-PBE; spin magnetization = 4.00 μB per cell; E_form = -2.940 eV/atom; electronic total energy = -8.015 eV per atom
1.0
4.377 0.000 0.000
0.000 4.377 0.000
0.000 0.000 9.770
Cs U O
2 2 5
Cartesian
0.000 0.000 0.000
0.000 0.000 4.885
2.189 2.189 2.208
2.189 2.189 7.563
0.000 2.189 2.509
0.000 2.189 7.261
2.189 0.000 2.509
2.189 0.000 7.261
2.189 2.189 0.000

---

Record 6
CaZn13, optimized geometry, DFT GGA-PBE; E_form = -0.145 eV/atom; electronic total energy = -1.458 eV per atom
1.0
0.000 6.121 6.121
6.121 0.000 6.121
6.121 6.121 0.000
Ca Zn
2 26
Cartesian
3.060 3.060 3.060
9.181 9.181 9.181
0.000 0.000 0.000
6.121 4.642 2.209
10.032 6.121 4.642
7.600 2.209 6.121
7.600 6.121 3.912
6.121 3.912 4.642
8.330 4.642 6.121
6.121 7.600 2.209
4.642 2.209 6.121
10.032 6.121 7.600
4.642 6.121 3.912
8.330 7.600 6.121
6.121 3.912 7.600
6.121 6.121 6.121
6.121 8.330 4.642
3.912 4.642 6.121
7.600 6.121 8.330
2.209 6.121 4.642
7.600 10.032 6.121
6.121 4.642 10.032
3.912 7.600 6.121
6.121 8.330 7.600
4.642 6.121 8.330
4.642 10.032 6.121
2.209 6.121 7.600
6.121 7.600 10.032